#a
Here is crystalline LiFe2OF3 at its relaxed geometry from the Materials Project database. Energies are from PBE+U.

```
data_LiFe2OF3
_chemical_formula_sum 'Li4 Fe8 O4 F12'
_cell_length_a 6.220
_cell_length_b 6.220
_cell_length_c 8.734
_cell_angle_alpha 90.00
_cell_angle_beta 90.00
_cell_angle_gamma 90.00
_symmetry_space_group_name_H-M 'P 1'
_symmetry_Int_Tables_number 1
_symmetry_space_group_name_Hall 'P 1'
loop_
_atom_site_label
_atom_site_type_symbol
_atom_site_fract_x
_atom_site_fract_y
_atom_site_fract_z
F1 F 0.744 0.479 0.994
F2 F 0.507 0.258 0.751
F3 F 0.256 0.521 0.494
F4 F 0.000 0.735 0.743
F5 F 0.265 0.000 0.493
F6 F 0.000 0.265 0.243
F7 F 0.493 0.742 0.251
F8 F 0.479 0.256 0.244
F9 F 0.742 0.507 0.501
F10 F 0.258 0.493 0.001
F11 F 0.521 0.744 0.744
F12 F 0.735 0.000 0.993
O1 O 0.045 0.752 0.254
O2 O 0.248 0.045 0.004
O3 O 0.955 0.248 0.754
O4 O 0.752 0.955 0.504
Li1 Li 0.257 0.509 0.249
Li2 Li 0.491 0.257 0.999
Li3 Li 0.509 0.743 0.499
Li4 Li 0.743 0.491 0.749
Fe1 Fe 0.002 0.248 0.988
Fe2 Fe 0.219 0.261 0.646
Fe3 Fe 0.261 0.781 0.896
Fe4 Fe 0.739 0.219 0.396
Fe5 Fe 0.752 0.002 0.738
Fe6 Fe 0.781 0.739 0.146
Fe7 Fe 0.998 0.752 0.488
Fe8 Fe 0.248 0.998 0.238
```

The symmetry is P4_3, No. 78.

---

#b
Here is crystalline LiFe2OF3 at its relaxed geometry from the Materials Project database. Energies are from PBE+U.

```
data_LiFe2OF3
_chemical_formula_sum 'Li4 Fe8 O4 F12'
_cell_length_a 6.186
_cell_length_b 6.268
_cell_length_c 8.567
_cell_angle_alpha 90.00
_cell_angle_beta 90.00
_cell_angle_gamma 90.00
_symmetry_space_group_name_H-M 'P 1'
_symmetry_Int_Tables_number 1
_symmetry_space_group_name_Hall 'P 1'
loop_
_atom_site_label
_atom_site_type_symbol
_atom_site_fract_x
_atom_site_fract_y
_atom_site_fract_z
Fe1 Fe 0.739 0.775 0.858
Fe2 Fe 0.261 0.225 0.358
Fe3 Fe 0.742 0.000 0.500
Fe4 Fe 0.000 0.758 0.250
Fe5 Fe 0.000 0.242 0.750
Fe6 Fe 0.261 0.775 0.642
Fe7 Fe 0.739 0.225 0.142
Fe8 Fe 0.258 0.000 0.000
Li1 Li 0.500 0.761 0.250
Li2 Li 0.257 0.500 0.000
Li3 Li 0.743 0.500 0.500
Li4 Li 0.500 0.239 0.750
F1 F 0.983 0.271 0.494
F2 F 0.508 0.272 0.507
F3 F 0.017 0.271 0.006
F4 F 0.754 0.484 0.742
F5 F 0.983 0.729 0.506
F6 F 0.754 0.516 0.258
F7 F 0.492 0.272 0.993
F8 F 0.508 0.728 0.493
F9 F 0.246 0.484 0.758
F10 F 0.246 0.516 0.242
F11 F 0.492 0.728 0.007
F12 F 0.017 0.729 0.994
O1 O 0.250 0.027 0.769
O2 O 0.250 0.973 0.231
O3 O 0.750 0.973 0.269
O4 O 0.750 0.027 0.731
```

The symmetry is P222_1, No. 17.

---

Referenced to the most stable arrangement, the calculated values in meV per atom are #a 8; #b 0.

---

#a
Here is crystalline CrO3 at its relaxed geometry from the Materials Project database. Energies are from PBE+U.

```
data_CrO3
_chemical_formula_sum 'Cr4 O12'
_cell_length_a 5.338
_cell_length_b 5.561
_cell_length_c 8.667
_cell_angle_alpha 90.00
_cell_angle_beta 90.00
_cell_angle_gamma 90.00
_symmetry_space_group_name_H-M 'P 1'
_symmetry_Int_Tables_number 1
_symmetry_space_group_name_Hall 'P 1'
loop_
_atom_site_label
_atom_site_type_symbol
_atom_site_fract_x
_atom_site_fract_y
_atom_site_fract_z
O1 O 0.331 0.081 0.805
O2 O 0.894 0.220 0.667
O3 O 0.587 0.727 0.963
O4 O 0.394 0.280 0.167
O5 O 0.413 0.273 0.463
O6 O 0.169 0.581 0.805
O7 O 0.087 0.773 0.463
O8 O 0.831 0.419 0.305
O9 O 0.606 0.720 0.667
O10 O 0.669 0.919 0.305
O11 O 0.106 0.780 0.167
O12 O 0.913 0.227 0.963
Cr1 Cr 0.572 0.226 0.310
Cr2 Cr 0.428 0.774 0.810
Cr3 Cr 0.072 0.274 0.810
Cr4 Cr 0.928 0.726 0.310
```

The symmetry is Pna2_1, No. 33.

---

#b
Here is crystalline CrO3 at its relaxed geometry from the Materials Project database. Energies are from PBE+U.

```
data_CrO3
_chemical_formula_sum 'Cr2 O6'
_cell_length_a 5.052
_cell_length_b 5.336
_cell_length_c 5.831
_cell_angle_alpha 90.00
_cell_angle_beta 90.00
_cell_angle_gamma 118.24
_symmetry_space_group_name_H-M 'P 1'
_symmetry_Int_Tables_number 1
_symmetry_space_group_name_Hall 'P 1'
loop_
_atom_site_label
_atom_site_type_symbol
_atom_site_fract_x
_atom_site_fract_y
_atom_site_fract_z
O1 O 0.380 0.000 0.000
O2 O 0.900 0.187 0.250
O3 O 0.380 0.000 0.500
O4 O 0.628 0.494 0.250
O5 O 0.713 0.813 0.750
O6 O 0.134 0.506 0.750
Cr1 Cr 0.580 0.177 0.250
Cr2 Cr 0.403 0.823 0.750
```

The maximum piezoelectric response comes out at 0.89 C/m2. The symmetry is Ama2, No. 40.

---

Referenced to the most stable arrangement, the calculated values in meV per atom are #a 31; #b 0.

---

#a
Here is crystalline CrO3 at its relaxed geometry from the Materials Project database. Energies are from PBE+U.

```
data_CrO3
_chemical_formula_sum 'Cr1 O3'
_cell_length_a 4.863
_cell_length_b 4.863
_cell_length_c 3.097
_cell_angle_alpha 90.00
_cell_angle_beta 90.00
_cell_angle_gamma 119.45
_symmetry_space_group_name_H-M 'P 1'
_symmetry_Int_Tables_number 1
_symmetry_space_group_name_Hall 'P 1'
loop_
_atom_site_label
_atom_site_type_symbol
_atom_site_fract_x
_atom_site_fract_y
_atom_site_fract_z
O1 O 0.818 0.514 0.000
O2 O 0.514 0.818 0.000
O3 O 0.042 0.042 0.500
Cr1 Cr 0.861 0.861 0.000
```

The maximum piezoelectric response comes out at 1.39 C/m2. The symmetry is Amm2, No. 38.

---

#b
Here is crystalline CrO3 at its relaxed geometry from the Materials Project database. Energies are from PBE+U.

```
data_CrO3
_chemical_formula_sum 'Cr4 O12'
_cell_length_a 4.625
_cell_length_b 6.996
_cell_length_c 9.739
_cell_angle_alpha 71.55
_cell_angle_beta 90.00
_cell_angle_gamma 90.00
_symmetry_space_group_name_H-M 'P 1'
_symmetry_Int_Tables_number 1
_symmetry_space_group_name_Hall 'P 1'
loop_
_atom_site_label
_atom_site_type_symbol
_atom_site_fract_x
_atom_site_fract_y
_atom_site_fract_z
O1 O 0.859 0.700 0.216
O2 O 0.726 0.004 0.837
O3 O 0.774 0.004 0.337
O4 O 0.141 0.300 0.784
O5 O 0.359 0.300 0.284
O6 O 0.192 0.711 0.431
O7 O 0.641 0.700 0.716
O8 O 0.308 0.711 0.931
O9 O 0.226 0.996 0.663
O10 O 0.808 0.289 0.569
O11 O 0.692 0.289 0.069
O12 O 0.274 0.996 0.163
Cr1 Cr 0.475 0.842 0.789
Cr2 Cr 0.025 0.842 0.289
Cr3 Cr 0.975 0.158 0.711
Cr4 Cr 0.525 0.158 0.211
```

The symmetry is P2_1/c, No. 14.

---

Referenced to the most stable arrangement, the calculated values in meV per atom are #a 26; #b 0.

---

#a
Here is crystalline MgMn4O8 at its relaxed geometry from the Materials Project database. Energies are from PBE+U.

```
data_MgMn4O8
_chemical_formula_sum 'Mg1 Mn4 O8'
_cell_length_a 5.952
_cell_length_b 5.952
_cell_length_c 5.815
_cell_angle_alpha 60.76
_cell_angle_beta 60.76
_cell_angle_gamma 64.06
_symmetry_space_group_name_H-M 'P 1'
_symmetry_Int_Tables_number 1
_symmetry_space_group_name_Hall 'P 1'
loop_
_atom_site_label
_atom_site_type_symbol
_atom_site_fract_x
_atom_site_fract_y
_atom_site_fract_z
Mn1 Mn 0.554 0.554 0.203
Mn2 Mn 0.554 0.554 0.689
Mn3 Mn 0.153 0.153 0.347
Mn4 Mn 0.138 0.138 0.862
Mg1 Mg 0.834 0.834 0.666
O1 O 0.808 0.427 0.382
O2 O 0.819 0.445 0.868
O3 O 0.427 0.808 0.382
O4 O 0.303 0.303 0.454
O5 O 0.445 0.819 0.868
O6 O 0.993 0.993 0.263
O7 O 0.303 0.303 0.941
O8 O 0.993 0.993 0.751
```

The symmetry is Imm2, No. 44.

---

#b
Here is crystalline MgMn4O8 at its relaxed geometry from the Materials Project database. Energies are from PBE+U.

```
data_MgMn4O8
_chemical_formula_sum 'Mg1 Mn4 O8'
_cell_length_a 3.111
_cell_length_b 7.663
_cell_length_c 7.657
_cell_angle_alpha 87.76
_cell_angle_beta 78.30
_cell_angle_gamma 78.30
_symmetry_space_group_name_H-M 'P 1'
_symmetry_Int_Tables_number 1
_symmetry_space_group_name_Hall 'P 1'
loop_
_atom_site_label
_atom_site_type_symbol
_atom_site_fract_x
_atom_site_fract_y
_atom_site_fract_z
O1 O 0.898 0.954 0.373
O2 O 0.145 0.305 0.376
O3 O 0.225 0.046 0.627
O4 O 0.149 0.627 0.954
O5 O 0.546 0.625 0.302
O6 O 0.826 0.695 0.624
O7 O 0.730 0.373 0.046
O8 O 0.474 0.375 0.698
Mn1 Mn 0.125 0.477 0.166
Mn2 Mn 0.398 0.835 0.476
Mn3 Mn 0.768 0.523 0.834
Mn4 Mn 0.709 0.165 0.524
Mg1 Mg 0.257 0.500 0.500
```

The symmetry is C2, No. 5.

---

#c
Here is crystalline MgMn4O8 at its relaxed geometry from the Materials Project database. Energies are from PBE+U.

```
data_MgMn4O8
_chemical_formula_sum 'Mg1 Mn4 O8'
_cell_length_a 6.047
_cell_length_b 6.047
_cell_length_c 6.047
_cell_angle_alpha 122.35
_cell_angle_beta 122.02
_cell_angle_gamma 86.26
_symmetry_space_group_name_H-M 'P 1'
_symmetry_Int_Tables_number 1
_symmetry_space_group_name_Hall 'P 1'
loop_
_atom_site_label
_atom_site_type_symbol
_atom_site_fract_x
_atom_site_fract_y
_atom_site_fract_z
O1 O 0.031 0.308 0.278
O2 O 0.477 0.251 0.775
O3 O 0.031 0.753 0.722
O4 O 0.473 0.249 0.224
O5 O 0.037 0.751 0.287
O6 O 0.025 0.249 0.776
O7 O 0.464 0.751 0.713
O8 O 0.477 0.702 0.225
Mn1 Mn 0.245 0.500 0.745
Mn2 Mn 0.248 0.993 0.744
Mn3 Mn 0.755 0.500 0.255
Mn4 Mn 0.248 0.504 0.256
Mg1 Mg 0.614 0.114 0.500
```

The symmetry is Imm2, No. 44.

---

Referenced to the most stable arrangement, the calculated values in meV per atom are #a 163; #b 205; #c 0.

---

#a
Here is crystalline Li3FePCO7 at its relaxed geometry from the Materials Project database. Energies are from PBE+U.

```
data_Li3FePCO7
_chemical_formula_sum 'Li12 Fe4 P4 C4 O28'
_cell_length_a 6.640
_cell_length_b 9.855
_cell_length_c 9.948
_cell_angle_alpha 117.28
_cell_angle_beta 100.92
_cell_angle_gamma 89.41
_symmetry_space_group_name_H-M 'P 1'
_symmetry_Int_Tables_number 1
_symmetry_space_group_name_Hall 'P 1'
loop_
_atom_site_label
_atom_site_type_symbol
_atom_site_fract_x
_atom_site_fract_y
_atom_site_fract_z
Li1 Li 0.123 0.838 0.812
Li2 Li 0.710 0.305 0.730
Li3 Li 0.781 0.605 0.963
Li4 Li 0.123 0.338 0.812
Li5 Li 0.128 0.795 0.263
Li6 Li 0.471 0.028 0.112
Li7 Li 0.471 0.528 0.112
Li8 Li 0.128 0.295 0.263
Li9 Li 0.710 0.806 0.730
Li10 Li 0.781 0.105 0.963
Li11 Li 0.541 0.828 0.345
Li12 Li 0.541 0.327 0.345
Fe1 Fe 0.393 0.995 0.681
Fe2 Fe 0.859 0.139 0.394
Fe3 Fe 0.858 0.638 0.394
Fe4 Fe 0.393 0.495 0.681
O1 O 0.910 0.166 0.623
O2 O 0.531 0.125 0.364
O3 O 0.890 0.402 0.932
O4 O 0.157 0.154 0.369
O5 O 0.830 0.382 0.449
O6 O 0.908 0.815 0.108
O7 O 0.890 0.903 0.932
O8 O 0.831 0.882 0.449
O9 O 0.421 0.751 0.626
O10 O 0.344 0.817 0.966
O11 O 0.466 0.589 0.925
O12 O 0.341 0.967 0.452
O13 O 0.341 0.467 0.452
O14 O 0.531 0.625 0.364
O15 O 0.421 0.251 0.626
O16 O 0.720 0.008 0.711
O17 O 0.786 0.044 0.151
O18 O 0.908 0.316 0.108
O19 O 0.911 0.666 0.623
O20 O 0.156 0.654 0.369
O21 O 0.362 0.731 0.143
O22 O 0.785 0.544 0.150
O23 O 0.362 0.230 0.143
O24 O 0.095 0.979 0.706
O25 O 0.095 0.479 0.706
O26 O 0.720 0.508 0.711
O27 O 0.466 0.089 0.924
O28 O 0.344 0.318 0.967
P1 P 0.361 0.626 0.453
P2 P 0.891 0.507 0.621
P3 P 0.361 0.126 0.453
P4 P 0.891 0.007 0.621
C1 C 0.387 0.215 0.010
C2 C 0.864 0.418 0.064
C3 C 0.864 0.918 0.064
C4 C 0.387 0.715 0.010
```

---

#b
Here is crystalline Li3FePCO7 at its relaxed geometry from the Materials Project database. Energies are from PBE+U.

```
data_Li3FePCO7
_chemical_formula_sum 'Li6 Fe2 P2 C2 O14'
_cell_length_a 6.422
_cell_length_b 5.034
_cell_length_c 8.938
_cell_angle_alpha 87.62
_cell_angle_beta 90.00
_cell_angle_gamma 90.00
_symmetry_space_group_name_H-M 'P 1'
_symmetry_Int_Tables_number 1
_symmetry_space_group_name_Hall 'P 1'
loop_
_atom_site_label
_atom_site_type_symbol
_atom_site_fract_x
_atom_site_fract_y
_atom_site_fract_z
O1 O 0.000 0.033 0.140
O2 O 0.500 0.562 0.612
O3 O 0.692 0.979 0.687
O4 O 0.192 0.366 0.386
O5 O 0.000 0.803 0.432
O6 O 0.500 0.966 0.436
O7 O 0.500 0.218 0.146
O8 O 0.000 0.436 0.632
O9 O 0.500 0.488 0.933
O10 O 0.808 0.366 0.386
O11 O 0.000 0.966 0.898
O12 O 0.308 0.979 0.687
O13 O 0.000 0.391 0.974
O14 O 0.500 0.662 0.160
C1 C 0.000 0.138 0.006
C2 C 0.500 0.449 0.080
Li1 Li 0.289 0.363 0.731
Li2 Li 0.711 0.363 0.731
Li3 Li 0.771 0.993 0.295
Li4 Li 0.785 0.698 0.971
Li5 Li 0.229 0.993 0.295
Li6 Li 0.215 0.698 0.971
Fe1 Fe 0.000 0.947 0.654
Fe2 Fe 0.500 0.402 0.376
P1 P 0.500 0.872 0.603
P2 P 0.000 0.493 0.455
```

The symmetry is Pm, No. 6.

---

#c
Here is crystalline Li3FePCO7 at its relaxed geometry from the Materials Project database. Energies are from PBE+U.

```
data_Li3FePCO7
_chemical_formula_sum 'Li12 Fe4 P4 C4 O28'
_cell_length_a 6.491
_cell_length_b 8.537
_cell_length_c 9.958
_cell_angle_alpha 95.18
_cell_angle_beta 89.96
_cell_angle_gamma 90.44
_symmetry_space_group_name_H-M 'P 1'
_symmetry_Int_Tables_number 1
_symmetry_space_group_name_Hall 'P 1'
loop_
_atom_site_label
_atom_site_type_symbol
_atom_site_fract_x
_atom_site_fract_y
_atom_site_fract_z
O1 O 0.561 0.689 0.409
O2 O 0.751 0.890 0.678
O3 O 0.236 0.850 0.250
O4 O 0.749 0.151 0.245
O5 O 0.747 0.422 0.910
O6 O 0.250 0.580 0.594
O7 O 0.250 0.929 0.472
O8 O 0.436 0.311 0.588
O9 O 0.755 0.572 0.201
O10 O 0.750 0.149 0.747
O11 O 0.251 0.576 0.088
O12 O 0.749 0.072 0.527
O13 O 0.937 0.689 0.920
O14 O 0.250 0.108 0.318
O15 O 0.564 0.691 0.915
O16 O 0.250 0.849 0.756
O17 O 0.063 0.309 0.085
O18 O 0.247 0.931 0.976
O19 O 0.941 0.691 0.408
O20 O 0.064 0.310 0.587
O21 O 0.248 0.426 0.799
O22 O 0.752 0.891 0.184
O23 O 0.754 0.573 0.704
O24 O 0.437 0.312 0.084
O25 O 0.750 0.423 0.409
O26 O 0.750 0.066 0.026
O27 O 0.251 0.428 0.297
O28 O 0.249 0.109 0.820
Li1 Li 0.253 0.654 0.400
Li2 Li 0.251 0.098 0.119
Li3 Li 0.021 0.273 0.874
Li4 Li 0.746 0.904 0.879
Li5 Li 0.743 0.896 0.390
Li6 Li 0.514 0.724 0.132
Li7 Li 0.473 0.281 0.377
Li8 Li 0.476 0.275 0.872
Li9 Li 0.987 0.726 0.612
Li10 Li 0.515 0.724 0.612
Li11 Li 0.251 0.099 0.614
Li12 Li 0.029 0.281 0.377
C1 C 0.750 0.036 0.650
C2 C 0.244 0.963 0.350
C3 C 0.248 0.965 0.851
C4 C 0.751 0.037 0.151
Fe1 Fe 0.750 0.335 0.106
Fe2 Fe 0.002 0.733 0.140
Fe3 Fe 0.750 0.334 0.605
Fe4 Fe 0.253 0.662 0.886
P1 P 0.749 0.588 0.861
P2 P 0.250 0.414 0.641
P3 P 0.751 0.591 0.362
P4 P 0.250 0.410 0.142
```

The symmetry is P1, No. 1.

---

Referenced to the most stable arrangement, the calculated values in meV per atom are #a 0; #b 67; #c 15.